[1]
Here is a relaxed structure of Sn3P2O8 from the Materials Project. Energies are from PBE-GGA.

Computed properties:
Symmetry: No. 14
Uncorrected energy in eV/atom: -6.68
Crystal system: monoclinic
ΔE_f in eV per atom: -2.30

```
Sn3P2O8
1.0
11.455 0.000 0.000
0.000 4.960 0.000
-1.371 0.000 16.770
Sn P O
12 8 32
Direct
0.019 0.222 0.368
0.019 0.278 0.868
0.307 0.747 0.784
0.307 0.753 0.284
0.357 0.120 0.536
0.357 0.380 0.036
0.643 0.620 0.964
0.643 0.880 0.464
0.693 0.247 0.716
0.693 0.253 0.216
0.981 0.722 0.132
0.981 0.778 0.632
0.149 0.696 0.473
0.149 0.804 0.973
0.478 0.215 0.852
0.478 0.285 0.352
0.522 0.715 0.648
0.522 0.785 0.148
0.851 0.196 0.027
0.851 0.304 0.527
0.055 0.676 0.913
0.055 0.824 0.413
0.126 0.748 0.561
0.126 0.752 0.061
0.149 0.114 0.955
0.149 0.386 0.455
0.274 0.692 0.960
0.274 0.808 0.460
0.372 0.158 0.303
0.372 0.342 0.803
0.402 0.708 0.177
0.402 0.792 0.677
0.459 0.594 0.353
0.459 0.906 0.853
0.486 0.174 0.441
0.486 0.326 0.941
0.514 0.674 0.059
0.514 0.826 0.559
0.541 0.094 0.147
0.541 0.406 0.647
0.598 0.208 0.323
0.598 0.292 0.823
0.628 0.658 0.197
0.628 0.842 0.697
0.726 0.192 0.540
0.726 0.308 0.040
0.851 0.614 0.545
0.851 0.886 0.045
0.874 0.248 0.939
0.874 0.252 0.439
0.945 0.176 0.587
0.945 0.324 0.087
```

[2]
Here is a relaxed structure of Ni3B from the Materials Project. Energies are from PBE-GGA.

Computed properties:
Symmetry: No. 62
Uncorrected energy in eV/atom: -6.27
Crystal system: orthorhombic
ΔE_f in eV per atom: -0.26

```
Ni3B
1.0
5.177 0.000 0.000
0.000 6.620 0.000
0.000 0.000 4.384
Ni B
12 4
Direct
0.028 0.250 0.133
0.180 0.063 0.656
0.180 0.437 0.656
0.320 0.563 0.156
0.320 0.937 0.156
0.472 0.750 0.633
0.528 0.250 0.367
0.680 0.063 0.844
0.680 0.437 0.844
0.820 0.563 0.344
0.820 0.937 0.344
0.972 0.750 0.867
0.118 0.750 0.439
0.382 0.250 0.939
0.618 0.750 0.061
0.882 0.250 0.561
```

[3]
Here is a relaxed structure of NaYZrSiS2O12 from the Materials Project. Energies are from PBE-GGA.

Computed properties:
Symmetry: No. 9
Uncorrected energy in eV/atom: -7.29
Crystal system: monoclinic
ΔE_f in eV per atom: -2.78
Magnetization in μB per cell: 0.000

```
NaYZrSiS2O12
1.0
7.929 -4.553 0.000
7.929 4.553 0.000
-0.144 0.000 23.951
Na Y Zr Si S O
6 6 6 6 12 72
Direct
0.006 0.994 0.500
0.296 0.343 0.167
0.343 0.296 0.667
0.641 0.678 0.834
0.678 0.641 0.334
0.994 0.006 0.000
0.303 0.330 0.313
0.330 0.303 0.813
0.652 0.653 0.480
0.653 0.652 0.980
0.985 0.991 0.646
0.991 0.985 0.146
0.305 0.311 0.017
0.311 0.305 0.517
0.644 0.676 0.684
0.676 0.644 0.184
0.985 0.987 0.850
0.987 0.985 0.350
0.021 0.316 0.414
0.316 0.021 0.914
0.356 0.950 0.580
0.696 0.986 0.747
0.950 0.356 0.080
0.986 0.696 0.247
0.031 0.615 0.915
0.282 0.696 0.749
0.285 0.979 0.249
0.315 0.614 0.415
0.365 0.646 0.082
0.614 0.315 0.915
0.615 0.031 0.415
0.646 0.365 0.582
0.648 0.950 0.082
0.696 0.282 0.249
0.950 0.648 0.582
0.979 0.285 0.749
0.001 0.787 0.193
0.010 0.180 0.699
0.011 0.140 0.407
0.016 0.786 0.910
0.110 0.516 0.864
0.114 0.338 0.361
0.122 0.493 0.577
0.123 0.313 0.755
0.138 0.348 0.075
0.138 0.532 0.965
0.140 0.011 0.907
0.145 0.292 0.470
0.149 0.506 0.251
0.157 0.786 0.409
0.169 0.978 0.586
0.180 0.010 0.199
0.183 0.775 0.698
0.193 0.795 0.087
0.197 0.962 0.299
0.201 0.805 0.799
0.292 0.145 0.970
0.295 0.532 0.466
0.299 0.529 0.756
0.313 0.123 0.255
0.338 0.114 0.861
0.341 0.513 0.365
0.348 0.138 0.575
0.354 0.489 0.076
0.441 0.673 0.032
0.448 0.841 0.526
0.451 0.820 0.243
0.455 0.677 0.743
0.462 0.640 0.420
0.469 0.629 0.133
0.478 0.854 0.637
0.480 0.835 0.920
0.489 0.354 0.576
0.493 0.122 0.077
0.506 0.149 0.751
0.513 0.341 0.865
0.516 0.110 0.364
0.529 0.299 0.256
0.532 0.138 0.465
0.532 0.295 0.966
0.623 0.868 0.132
0.629 0.469 0.633
0.637 0.861 0.421
0.640 0.462 0.920
0.669 0.850 0.032
0.673 0.441 0.532
0.677 0.455 0.243
0.683 0.808 0.742
0.775 0.183 0.198
0.786 0.016 0.410
0.786 0.157 0.909
0.787 0.001 0.693
0.795 0.193 0.587
0.797 0.970 0.088
0.805 0.201 0.299
0.808 0.683 0.242
0.815 0.964 0.803
0.820 0.451 0.743
0.835 0.480 0.420
0.841 0.448 0.026
0.850 0.669 0.532
0.854 0.478 0.137
0.861 0.637 0.921
0.868 0.623 0.632
0.962 0.197 0.799
0.964 0.815 0.303
0.970 0.797 0.588
0.978 0.169 0.086
```